(1)
Dy2ZnIn after structural relaxation, computed with GGA-PBE.

abc: 5.2008 5.2008 5.2008
angles: 60.00 60.00 60.00
Closest atoms and distances in Å follow each position.
Element x y z (fractional)
Dy: 0.2500 0.2500 0.2500  4 In 3.18, 4 Zn 3.18
Dy: 0.7500 0.7500 0.7500  4 In 3.18, 4 Zn 3.18
Zn: 0.0000 0.0000 0.0000  8 Dy 3.18
In: 0.5000 0.5000 0.5000  8 Dy 3.18

Formation enthalpy at 0 K, eV/atom: -0.401
Symmetry: Fm-3m (225)

(2)
LiH2BrO5 after structural relaxation, computed with GGA-PBE.

abc: 9.8123 9.8123 10.9119
angles: 114.25 114.25 36.23
Closest atoms and distances in Å follow each position.
Element x y z (fractional)
Li: 0.0000 0.5000 0.5000  4 O 2.02-2.16
Li: 0.2464 0.7536 0.7500  4 O 1.96-1.98
Li: 0.5000 0.0000 0.0000  4 O 2.02-2.16
Li: 0.7536 0.2464 0.2500  4 O 1.96-1.98
H: 0.0717 0.3412 0.9433  1 O 0.98
H: 0.3412 0.0717 0.4433  1 O 0.98
H: 0.3656 0.4444 0.2867  1 O 1.00
H: 0.4444 0.3656 0.7867  1 O 1.00
H: 0.5556 0.6344 0.2133  1 O 1.00
H: 0.6344 0.5556 0.7133  1 O 1.00
H: 0.6588 0.9283 0.5567  1 O 0.98
H: 0.9283 0.6588 0.0567  1 O 0.98
Br: 0.1441 0.1602 0.2086  2 O 1.66
Br: 0.1602 0.1441 0.7086  2 O 1.66
Br: 0.8398 0.8559 0.2914  2 O 1.66
Br: 0.8559 0.8398 0.7914  2 O 1.66
O: 0.0890 0.7325 0.2836  1 Br 1.66, 1 H 1.73
O: 0.0924 0.2922 0.6131  1 Br 1.66
O: 0.1926 0.2831 0.9091  1 H 0.98
O: 0.2024 0.6937 0.8741  1 O 1.47
O: 0.2675 0.9110 0.2164  1 Br 1.66, 1 H 1.73
O: 0.2831 0.1926 0.4091  1 H 0.98
O: 0.2922 0.0924 0.1131  1 Br 1.66
O: 0.2949 0.5179 0.7517  1 H 1.00
O: 0.3063 0.7976 0.6259  1 O 1.47
O: 0.4821 0.7051 0.7483  1 H 1.00
O: 0.5179 0.2949 0.2517  1 H 1.00
O: 0.6937 0.2024 0.3741  1 O 1.47
O: 0.7051 0.4821 0.2483  1 H 1.00
O: 0.7078 0.9076 0.8869  1 Br 1.66
O: 0.7169 0.8074 0.5909  1 H 0.98
O: 0.7325 0.0890 0.7836  1 Br 1.66, 1 H 1.73
O: 0.7976 0.3063 0.1259  1 O 1.47
O: 0.8074 0.7169 0.0909  1 H 0.98
O: 0.9076 0.7078 0.3869  1 Br 1.66
O: 0.9110 0.2675 0.7164  1 Br 1.66, 1 H 1.73

Total moment, μB/atom: 0.00
Formation enthalpy at 0 K, eV/atom: -0.814
Corrected total energy (MP2020 scheme), eV per atom: -4.71
Symmetry: C2/c (15)

(3)
Li2Cu4S3 after structural relaxation, computed with GGA-PBE.

abc: 7.6337 7.6337 10.0083
angles: 107.69 107.69 28.81
Closest atoms and distances in Å follow each position.
Element x y z (fractional)
Li: 0.1634 0.1634 0.3469  3 S 2.46-2.72
Li: 0.2926 0.3207 0.1457  3 S 2.58-2.71
Li: 0.6793 0.7074 0.8543  3 S 2.58-2.71
Li: 0.8366 0.8366 0.6531  3 S 2.46-2.72
Cu: 0.0918 0.1157 0.6011  3 S 2.25-2.32
Cu: 0.0929 0.1088 0.0116  3 S 2.29-2.33
Cu: 0.4622 0.4771 0.8667  3 S 2.30-2.42, 2 Cu 2.53-2.56
Cu: 0.4683 0.4979 0.6180  3 S 2.25-2.41
Cu: 0.5021 0.5317 0.3820  3 S 2.25-2.41
Cu: 0.5229 0.5378 0.1333  3 S 2.30-2.42, 2 Cu 2.53-2.56
Cu: 0.8843 0.9082 0.3989  3 S 2.25-2.32
Cu: 0.8912 0.9071 0.9884  3 S 2.29-2.33
S: 0.0147 0.0439 0.7732  6 Cu 2.29-2.42
S: 0.3095 0.3253 0.8808  3 Cu 2.30-2.33
S: 0.3252 0.3485 0.4581  3 Cu 2.25, 1 Li 2.46
S: 0.6515 0.6748 0.5419  3 Cu 2.25, 1 Li 2.46
S: 0.6747 0.6905 0.1192  3 Cu 2.30-2.33
S: 0.9561 0.9853 0.2268  6 Cu 2.29-2.42

Total moment, μB/atom: 0.00
Formation enthalpy at 0 K, eV/atom: -0.672
Corrected total energy (MP2020 scheme), eV per atom: -4.30
Symmetry: C2 (5)

(4)
CuTeO4 after structural relaxation, computed with GGA-PBE.

abc: 5.1266 3.0312 5.1269
angles: 90.00 103.92 90.00
Closest atoms and distances in Å follow each position.
Element x y z (fractional)
Cu: 0.0000 0.0000 0.0000  4 O 1.94
Te: 0.5000 0.5000 0.5000  6 O 1.95-2.00
O: 0.1923 0.5000 0.1901  2 Cu 1.94, 1 Te 1.95
O: 0.3367 0.0000 0.6615  2 Te 2.00
O: 0.6633 0.0000 0.3385  2 Te 2.00
O: 0.8077 0.5000 0.8099  2 Cu 1.94, 1 Te 1.95

Total moment, μB/atom: 0.00
Formation enthalpy at 0 K, eV/atom: -1.237
Corrected total energy (MP2020 scheme), eV per atom: -5.74
Symmetry: P2/m (10)